## CdS (PBE)

Data for a relaxed structure of CdS. Values from VASP.

```
&SYSTEM
  ibrav = 0, nat = 2, ntyp = 2
/
ATOMIC_SPECIES
Cd 112.41 Cd.upf
S 32.06 S.upf
ATOMIC_POSITIONS crystal
Cd 0.000 0.000 0.000
S 0.500 0.500 0.500
CELL_PARAMETERS angstrom
0.000 2.753 2.753
2.753 0.000 2.753
2.753 2.753 0.000
```

Calculated values
Calculated formation energy ... -750 meV/atom
Space group ... No. 225

---

## CdS (PBE)

Data for a relaxed structure of CdS. Values from VASP.

```
&SYSTEM
  ibrav = 0, nat = 2, ntyp = 2
/
ATOMIC_SPECIES
Cd 112.41 Cd.upf
S 32.06 S.upf
ATOMIC_POSITIONS crystal
Cd 0.000 0.000 0.443
S 0.667 0.333 0.434
CELL_PARAMETERS angstrom
2.131 -3.690 0.000
2.131 3.690 0.000
0.000 0.000 5.804
```

Calculated values
Calculated formation energy ... -632 meV/atom
Space group ... No. 156